The following is a GGA+U calculation of crystalline MgZrMo2O8 at its relaxed geometry, from the Materials Project database.

Cell: 5.6831 5.6834 6.3824 Å, 82.34 82.38 62.64°
Space group P1 (No. 1)
Asymmetric unit:
1 Mg 0.0000 0.0000 0.0000
2 Zr 0.2973 0.2975 0.1458
3 Mo 0.6535 0.6547 0.8207
4 Mo 0.9249 0.9249 0.4599
5 O 0.1267 0.1263 0.3635
6 O 0.1270 0.6744 0.2313
7 O 0.3952 0.9531 0.9479
8 O 0.4652 0.4676 0.8576
9 O 0.6745 0.1273 0.2310
10 O 0.6941 0.6936 0.5375
11 O 0.8887 0.8892 0.7659
12 O 0.9514 0.3961 0.9486

Summary:
Calculated volume (Å³ per atom): 15.071
Total magnetization (μB/f.u.): 2.000
E (eV per atom): -7.454
ρ (kg/m³): 3998


The following is a GGA+U calculation of crystalline Li3MnFe2B3O9 at its relaxed geometry, from the Materials Project database.

Cell: 8.2602 3.1490 14.3041 Å, 90.00 90.11 90.00°
Space group Pm (No. 6)
Asymmetric unit:
1 Li 0.0000 0.0000 0.0000
2 Li 0.0247 0.0000 0.2948
3 Li 0.0749 0.0000 0.6615
4 Li 0.5029 0.0000 0.5018
5 Li 0.5286 0.0000 0.7937
6 Li 0.5753 0.0000 0.1590
7 Mn 0.1759 0.5000 0.4718
8 Mn 0.2344 0.5000 0.1457
9 Fe 0.1926 0.5000 0.8352
10 Fe 0.6801 0.5000 0.9715
11 Fe 0.6920 0.5000 0.3351
12 Fe 0.7313 0.5000 0.6479
13 B 0.3687 0.0000 0.9831
14 B 0.3700 0.5000 0.6519
15 B 0.3705 0.0000 0.3185
16 B 0.8651 0.0000 0.4857
17 B 0.8667 0.5000 0.1524
18 B 0.8682 0.0000 0.8183
19 O 0.0044 0.5000 0.2081
20 O 0.0195 0.0000 0.5265
21 O 0.0204 0.0000 0.8606
22 O 0.2169 0.5000 0.6939
23 O 0.2288 0.0000 0.3712
24 O 0.2305 0.0000 0.0396
25 O 0.3511 0.0000 0.8863
26 O 0.3606 0.0000 0.2213
27 O 0.3844 0.5000 0.5555
28 O 0.5085 0.5000 0.7080
29 O 0.5206 0.0000 0.3623
30 O 0.5221 0.0000 0.0237
31 O 0.7137 0.5000 0.1934
32 O 0.7295 0.0000 0.5433
33 O 0.7291 0.0000 0.8732
34 O 0.8492 0.0000 0.3890
35 O 0.8557 0.0000 0.7213
36 O 0.8801 0.5000 0.0548

Summary:
Calculated volume (Å³ per atom): 10.335
E (eV per atom): -7.055
ρ (kg/m³): 3248


The following is a GGA+U calculation of crystalline La18Ni12O41 at its relaxed geometry, from the Materials Project database.

Cell: 10.0791 10.2173 10.7414 Å, 91.81 91.97 106.64°
Space group P1 (No. 1)
Asymmetric unit:
1 La 0.0000 0.0000 0.0000
2 La 0.0003 0.2985 0.7903
3 La 0.1644 0.5548 0.1336
4 La 0.1805 0.0360 0.7110
5 La 0.1988 0.6658 0.7032
6 La 0.2090 0.3745 0.4843
7 La 0.2945 0.9918 0.3993
8 La 0.2975 0.2399 0.1402
9 La 0.4547 0.6857 0.3647
10 La 0.5554 0.1882 0.8342
11 La 0.5567 0.2732 0.4903
12 La 0.5650 0.8143 0.8928
13 La 0.6569 0.0379 0.2715
14 La 0.7740 0.4047 0.0734
15 La 0.7793 0.7395 0.1750
16 La 0.8330 0.8513 0.5277
17 La 0.8409 0.6568 0.8075
18 La 0.8966 0.4822 0.4116
19 Ni 0.0089 0.0703 0.3319
20 Ni 0.0897 0.8194 0.2029
21 Ni 0.1163 0.7478 0.4487
22 Ni 0.2538 0.9000 0.9282
23 Ni 0.3292 0.9405 0.1468
24 Ni 0.3954 0.3806 0.7348
25 Ni 0.4680 0.9585 0.6285
26 Ni 0.4946 0.4818 0.9457
27 Ni 0.5098 0.6252 0.6063
28 Ni 0.5387 0.4655 0.2079
29 Ni 0.8153 0.1471 0.5823
30 Ni 0.9496 0.2406 0.1961
31 O 0.0052 0.5249 0.8286
32 O 0.0192 0.8764 0.3518
33 O 0.0528 0.4017 0.2882
34 O 0.0588 0.4463 0.6077
35 O 0.0742 0.2532 0.0616
36 O 0.0798 0.8309 0.8225
37 O 0.1963 0.7986 0.0721
38 O 0.2017 0.1752 0.3568
39 O 0.2158 0.2828 0.6995
40 O 0.2313 0.0920 0.9307
41 O 0.2422 0.7312 0.3244
42 O 0.2599 0.8649 0.5848
43 O 0.3051 0.4969 0.9489
44 O 0.3271 0.6049 0.5435
45 O 0.3475 0.6314 0.8899
46 O 0.3521 0.4768 0.2329
47 O 0.4003 0.1282 0.6139
48 O 0.4117 0.9567 0.8230
49 O 0.4337 0.1061 0.2363
50 O 0.4771 0.4525 0.5174
51 O 0.5044 0.9252 0.0811
52 O 0.5144 0.7922 0.6800
53 O 0.5181 0.3385 0.0568
54 O 0.5176 0.9768 0.4449
55 O 0.5354 0.7990 0.1278
56 O 0.5714 0.4244 0.7921
57 O 0.6523 0.0994 0.6724
58 O 0.6845 0.5977 0.9920
59 O 0.6914 0.8148 0.3508
60 O 0.6994 0.5308 0.2980
61 O 0.7011 0.6676 0.6384
62 O 0.7761 0.3133 0.5401
63 O 0.7800 0.2574 0.9092
64 O 0.7828 0.2756 0.2553
65 O 0.8068 0.8532 0.9185
66 O 0.8657 0.0430 0.1642
67 O 0.8693 0.0917 0.4324
68 O 0.9435 0.0675 0.6750
69 O 0.9554 0.6308 0.1953
70 O 0.9772 0.7052 0.5677
71 O 0.9790 0.5429 0.9625

Summary:
Calculated volume (Å³ per atom): 14.904
Total magnetization (μB/f.u.): 22.000
E (eV per atom): -6.738
ρ (kg/m³): 6058


The following is a GGA+U calculation of crystalline CaNdZrCrO6 at its relaxed geometry, from the Materials Project database.

Cell: 8.0322 8.0322 8.0322 Å, 90.00 90.00 90.00°
Space group F-43m (No. 216)
Asymmetric unit:
1 Ca 0.0000 0.0000 0.0000
2 Nd 0.0000 0.0000 0.5000
3 Zr 0.2500 0.2500 0.7500
4 Cr 0.2500 0.2500 0.2500
5 O 0.0064 0.2500 0.2500

Summary:
Calculated volume (Å³ per atom): 12.955
Total magnetization (μB/f.u.): 3.000
E (eV per atom): -8.061
ρ (kg/m³): 5429


The following is a GGA+U calculation of crystalline CoP2O7 at its relaxed geometry, from the Materials Project database.

Cell: 6.3370 6.4265 13.2304 Å, 101.01 101.53 99.14°
Space group P-1 (No. 2)
Asymmetric unit:
1 Co 0.2257 0.0877 0.3509
2 Co 0.2621 0.6270 0.8540
3 P 0.1080 0.5869 0.3654
4 P 0.2226 0.2430 0.1365
5 P 0.2362 0.9127 0.5666
6 P 0.3446 0.1688 0.9319
7 O 0.0306 0.3623 0.1262
8 O 0.0907 0.6966 0.4823
9 O 0.0955 0.9748 0.6441
10 O 0.1305 0.5113 0.6983
11 O 0.1880 0.0722 0.2021
12 O 0.2123 0.1105 0.0190
13 O 0.2169 0.7662 0.3203
14 O 0.2339 0.3234 0.8770
15 O 0.2358 0.4076 0.3750
16 O 0.2792 0.0884 0.5041
17 O 0.3270 0.9517 0.8561
18 O 0.4154 0.7267 0.0097
19 O 0.4463 0.8577 0.6212
20 O 0.4499 0.3937 0.1755

Summary:
Calculated volume (Å³ per atom): 12.681
Total magnetization (μB/f.u.): 1.000
E (eV per atom): -6.648
ρ (kg/m³): 3050


The following is a GGA+U calculation of crystalline Li7Co5O12 at its relaxed geometry, from the Materials Project database.

Cell: 4.9779 4.9994 9.8066 Å, 95.21 94.70 119.71°
Space group P-1 (No. 2)
Asymmetric unit:
1 Li 0.0000 0.0000 0.0000
2 Li 0.0813 0.4136 0.2440
3 Li 0.2472 0.2493 0.7542
4 Li 0.4113 0.0798 0.2451
5 Co 0.1682 0.8312 0.5001
6 Co 0.3391 0.6698 0.0000
7 Co 0.5000 0.5000 0.5000
8 O 0.0349 0.6731 0.1084
9 O 0.1310 0.1311 0.3815
10 O 0.2070 0.5471 0.6190
11 O 0.3309 0.9705 0.8909
12 O 0.4027 0.3974 0.1094
13 O 0.4536 0.7917 0.3812

Summary:
Calculated volume (Å³ per atom): 8.700
Total magnetization (μB/f.u.): 14.000
E (eV per atom): -5.501
ρ (kg/m³): 4257


Copy entry 2 word for word.
The following is a GGA+U calculation of crystalline Li3MnFe2B3O9 at its relaxed geometry, from the Materials Project database.

Cell: 8.2602 3.1490 14.3041 Å, 90.00 90.11 90.00°
Space group Pm (No. 6)
Asymmetric unit:
1 Li 0.0000 0.0000 0.0000
2 Li 0.0247 0.0000 0.2948
3 Li 0.0749 0.0000 0.6615
4 Li 0.5029 0.0000 0.5018
5 Li 0.5286 0.0000 0.7937
6 Li 0.5753 0.0000 0.1590
7 Mn 0.1759 0.5000 0.4718
8 Mn 0.2344 0.5000 0.1457
9 Fe 0.1926 0.5000 0.8352
10 Fe 0.6801 0.5000 0.9715
11 Fe 0.6920 0.5000 0.3351
12 Fe 0.7313 0.5000 0.6479
13 B 0.3687 0.0000 0.9831
14 B 0.3700 0.5000 0.6519
15 B 0.3705 0.0000 0.3185
16 B 0.8651 0.0000 0.4857
17 B 0.8667 0.5000 0.1524
18 B 0.8682 0.0000 0.8183
19 O 0.0044 0.5000 0.2081
20 O 0.0195 0.0000 0.5265
21 O 0.0204 0.0000 0.8606
22 O 0.2169 0.5000 0.6939
23 O 0.2288 0.0000 0.3712
24 O 0.2305 0.0000 0.0396
25 O 0.3511 0.0000 0.8863
26 O 0.3606 0.0000 0.2213
27 O 0.3844 0.5000 0.5555
28 O 0.5085 0.5000 0.7080
29 O 0.5206 0.0000 0.3623
30 O 0.5221 0.0000 0.0237
31 O 0.7137 0.5000 0.1934
32 O 0.7295 0.0000 0.5433
33 O 0.7291 0.0000 0.8732
34 O 0.8492 0.0000 0.3890
35 O 0.8557 0.0000 0.7213
36 O 0.8801 0.5000 0.0548

Summary:
Calculated volume (Å³ per atom): 10.335
E (eV per atom): -7.055
ρ (kg/m³): 3248


Question: Look up the E of the first one.
Answer: -7.454 eV per atom


Question: Among the records above, which one has the lowest E?
Answer: CaNdZrCrO6


Please write out number 4 again, unchanged.
The following is a GGA+U calculation of crystalline CaNdZrCrO6 at its relaxed geometry, from the Materials Project database.

Cell: 8.0322 8.0322 8.0322 Å, 90.00 90.00 90.00°
Space group F-43m (No. 216)
Asymmetric unit:
1 Ca 0.0000 0.0000 0.0000
2 Nd 0.0000 0.0000 0.5000
3 Zr 0.2500 0.2500 0.7500
4 Cr 0.2500 0.2500 0.2500
5 O 0.0064 0.2500 0.2500

Summary:
Calculated volume (Å³ per atom): 12.955
Total magnetization (μB/f.u.): 3.000
E (eV per atom): -8.061
ρ (kg/m³): 5429